MgP6H24N4O22 | Materials Project | PBE | relaxed; ΔH_f (0 K) = -1.648 eV/atom; magnetization = 0.0 Bohr magnetons per cell; calculated volume = 10.23 Å³/atom; E = -5.9038 eV/atom
1.0
14.9535 0.0000 0.0000
0.0000 8.7050 0.0000
0.0000 0.6736 8.9564
O P H N Mg
44 12 48 8 2
direct
0.9573 0.7327 0.6443 O
0.6032 0.4168 0.8938 O
0.9039 0.1556 0.0688 O
0.9010 0.5416 0.1279 O
0.2633 0.4260 0.2011 O
0.4515 0.1627 0.3397 O
0.4039 0.8444 0.4312 O
0.2664 0.9726 0.2913 O
0.5961 0.1556 0.5688 O
0.9515 0.8373 0.1603 O
0.3968 0.5832 0.1062 O
0.4496 0.7723 0.9018 O
0.5990 0.5416 0.6279 O
0.5504 0.2277 0.0982 O
0.5485 0.8373 0.6603 O
0.0485 0.1627 0.8397 O
0.2367 0.4260 0.7011 O
0.0961 0.8444 0.9312 O
0.2930 0.6831 0.3009 O
0.6092 0.1328 0.8566 O
0.5427 0.7327 0.1443 O
0.7633 0.5740 0.2989 O
0.1032 0.5832 0.6062 O
0.2336 0.9726 0.7913 O
0.4010 0.4584 0.3721 O
0.8968 0.4168 0.3938 O
0.1092 0.8672 0.6434 O
0.4081 0.0782 0.6507 O
0.7070 0.3169 0.6991 O
0.8908 0.1328 0.3566 O
0.3908 0.8672 0.1434 O
0.2070 0.6831 0.8009 O
0.7930 0.3169 0.1991 O
0.9081 0.9218 0.8493 O
0.9496 0.2277 0.5982 O
0.0504 0.7723 0.4018 O
0.4573 0.2673 0.8557 O
0.0990 0.4584 0.8721 O
0.0919 0.0782 0.1507 O
0.7336 0.0274 0.7087 O
0.0427 0.2673 0.3557 O
0.7664 0.0274 0.2087 O
0.5919 0.9218 0.3493 O
0.7367 0.5740 0.7989 O
0.3384 0.5229 0.2529 P
0.6616 0.4771 0.7471 P
0.4529 0.7403 0.0676 P
0.1616 0.5229 0.7529 P
0.6615 0.1475 0.6964 P
0.9529 0.2597 0.4324 P
0.8385 0.1475 0.1964 P
0.5471 0.2597 0.9324 P
0.0471 0.7403 0.5676 P
0.1615 0.8525 0.8036 P
0.3385 0.8525 0.3036 P
0.8384 0.4771 0.2471 P
0.4290 0.2661 0.3616 H
0.0927 0.6428 0.2679 H
0.2011 0.1027 0.6001 H
0.7011 0.8973 0.8999 H
0.4073 0.6428 0.7679 H
0.0165 0.1776 0.7428 H
0.9297 0.8519 0.7736 H
0.7634 0.7225 0.4592 H
0.2634 0.2775 0.0408 H
0.0710 0.2661 0.8616 H
0.6580 0.4876 0.3169 H
0.7366 0.7225 0.9592 H
0.2366 0.2775 0.5408 H
0.6365 0.9900 0.2994 H
0.1009 0.6528 0.0800 H
0.9835 0.8224 0.2572 H
0.2989 0.1027 0.1001 H
0.7441 0.8750 0.0730 H
0.2559 0.1250 0.9270 H
0.0439 0.5095 0.1694 H
0.1443 0.2078 0.4611 H
0.5703 0.8519 0.2736 H
0.4297 0.1481 0.7264 H
0.8635 0.9900 0.7994 H
0.3557 0.2078 0.9611 H
0.7989 0.8973 0.3999 H
0.1365 0.0100 0.2006 H
0.8991 0.3472 0.9200 H
0.0703 0.1481 0.2264 H
0.8557 0.7922 0.5389 H
0.1580 0.5124 0.1831 H
0.9561 0.4905 0.8306 H
0.7559 0.8750 0.5730 H
0.6443 0.7922 0.0389 H
0.5710 0.7339 0.6384 H
0.5927 0.3572 0.2321 H
0.5439 0.4905 0.3306 H
0.6009 0.3472 0.4200 H
0.8420 0.4876 0.8169 H
0.2441 0.1250 0.4270 H
0.3635 0.0100 0.7006 H
0.3991 0.6528 0.5800 H
0.4835 0.1776 0.2428 H
0.5165 0.8224 0.7572 H
0.4561 0.5095 0.6694 H
0.9290 0.7339 0.1384 H
0.3420 0.5124 0.6831 H
0.9073 0.3572 0.7321 H
0.7069 0.8214 0.9937 N
0.4006 0.5785 0.6753 N
0.7931 0.8214 0.4937 N
0.5994 0.4215 0.3247 N
0.9006 0.4215 0.8247 N
0.2931 0.1786 0.0063 N
0.2069 0.1786 0.5063 N
0.0994 0.5785 0.1753 N
0.0000 0.0000 0.0000 Mg
0.5000 0.0000 0.5000 Mg